DFT (PBE) results for a geometry-optimized Cs4Zr3S14 structure.

a b c (Å): 12.0513 12.0513 14.3454
angles (deg): 68.78 68.78 42.37
Positions (direct):
Cs 0.4763 0.1129 0.6117
Cs 0.1768 0.7007 0.6438
Cs 0.8871 0.5237 0.8883
Cs 0.2993 0.8232 0.8562
Cs 0.5237 0.8871 0.3883
Cs 0.8232 0.2993 0.3562
Cs 0.1129 0.4763 0.1117
Cs 0.7007 0.1768 0.1438
Zr 0.5803 0.0839 0.9142
Zr 0.2629 0.7371 0.2500
Zr 0.0839 0.5803 0.4142
Zr 0.9161 0.4197 0.5858
Zr 0.4197 0.9161 0.0858
Zr 0.7371 0.2629 0.7500
S 0.7367 0.0715 0.7108
S 0.5619 0.6085 0.1313
S 0.0168 0.8449 0.4122
S 0.2978 0.6184 0.1125
S 0.8449 0.0168 0.9122
S 0.4381 0.3915 0.8687
S 0.6524 0.6814 0.6642
S 0.3186 0.3476 0.8358
S 0.5053 0.9377 0.9012
S 0.6085 0.5619 0.6313
S 0.1016 0.1819 0.1104
S 0.4947 0.0623 0.0988
S 0.9832 0.1551 0.5878
S 0.9285 0.2633 0.7892
S 0.7022 0.3816 0.8875
S 0.1819 0.1016 0.6104
S 0.9378 0.5053 0.4012
S 0.6814 0.6524 0.1642
S 0.3816 0.7022 0.3875
S 0.8181 0.8984 0.3896
S 0.3915 0.4381 0.3687
S 0.6184 0.2978 0.6125
S 0.0622 0.4947 0.5988
S 0.1551 0.9832 0.0878
S 0.0715 0.7367 0.2108
S 0.3476 0.3186 0.3358
S 0.2633 0.9285 0.2892
S 0.8984 0.8181 0.8896

Calculated values
The calculation puts the energy relative to the elements at -1.463 eV/atom. Its calculated density is 3.22 g/cm3. Its space group is C2/c (15). The MP2020-corrected energy comes out at -5.61 eV/atom.